[1]
Density functional theory data (GGA-PBE) for a relaxed Mg14ZnCo crystal.

a = 6.2622 Å, b = 6.2622 Å, c = 9.7464 Å
α = 90.00°, β = 90.00°, γ = 120.00°
Closest atoms and distances in Å follow each position.
Space group P-6m2 (No. 187)
One atom of each set of equivalent atoms:
Mg 0.0000 0.0000 0.2475 (multiplicity 2)  12 Mg 3.02-3.13
Mg 0.0171 0.5086 0.2559 (multiplicity 6)  1 Co 2.93, 8 Mg 2.97-3.13, 1 Zn 3.03
Mg 0.3320 0.1660 0.5000 (multiplicity 3)  10 Mg 3.02-3.14, 2 Co 3.13
Mg 0.3335 0.1667 0.0000 (multiplicity 3)  10 Mg 3.02-3.13, 2 Zn 3.13
Zn 0.3333 0.6667 0.0000 (multiplicity 1)  12 Mg 3.03-3.13
Co 0.3333 0.6667 0.5000 (multiplicity 1)  12 Mg 2.93-3.13

Magnetic moment   0.00 μB per atom
Final energy   -29.85 eV for the cell shown
Energy of formation   0.92 eV per formula unit


[2]
Density functional theory data (GGA-PBE) for a relaxed Nd6Si4S17 crystal.

a = 8.9960 Å, b = 10.0119 Å, c = 14.3036 Å
α = 82.01°, β = 87.00°, γ = 89.22°
Closest atoms and distances in Å follow each position.
Space group P-1 (No. 2)
One atom of each set of equivalent atoms:
Nd 0.0169 0.2686 0.4605 (multiplicity 2)  7 S 2.78-3.08
Nd 0.0846 0.5806 0.1656 (multiplicity 2)  7 S 2.88-3.15
Nd 0.1064 0.8846 0.8158 (multiplicity 2)  8 S 2.89-3.19
Nd 0.3326 0.9103 0.3424 (multiplicity 2)  7 S 2.89-3.12
Nd 0.3682 0.5642 0.6764 (multiplicity 2)  7 S 2.83-3.00
Nd 0.4487 0.2383 0.0015 (multiplicity 2)  7 S 2.87-3.04
Si 0.2310 0.9381 0.0991 (multiplicity 2)  4 S 2.10-2.15
Si 0.2493 0.9996 0.5837 (multiplicity 2)  4 S 2.11-2.16
Si 0.2502 0.5599 0.9228 (multiplicity 2)  4 S 2.12-2.15
Si 0.2761 0.5580 0.3939 (multiplicity 2)  4 S 2.11-2.15
S 0.0089 0.8728 0.1154 (multiplicity 2)  1 Si 2.10
S 0.0146 0.9912 0.6232 (multiplicity 2)  1 Si 2.16
S 0.0402 0.6488 0.9521 (multiplicity 2)  1 Si 2.12
S 0.0673 0.6426 0.7218 (multiplicity 2)  4 Nd 2.78-2.96
S 0.1077 0.7019 0.3449 (multiplicity 2)  1 Si 2.15
S 0.1843 0.4807 0.5322 (multiplicity 2)  1 Si 2.15
S 0.2482 0.1141 0.1678 (multiplicity 2)  1 Si 2.14
S 0.2573 0.3844 0.8512 (multiplicity 2)  1 Si 2.15
S 0.2976 0.8066 0.5408 (multiplicity 2)  1 Si 2.14
S 0.3040 0.4118 0.3017 (multiplicity 2)  1 Si 2.11
S 0.3051 0.1332 0.4602 (multiplicity 2)  1 Si 2.11
S 0.3217 0.9818 0.9565 (multiplicity 2)  1 Si 2.15
S 0.3407 0.5008 0.0570 (multiplicity 2)  1 Si 2.13
S 0.3553 0.0303 0.7068 (multiplicity 2)  1 Si 2.11
S 0.3677 0.7815 0.1665 (multiplicity 2)  1 Si 2.13
S 0.3823 0.7131 0.8386 (multiplicity 2)  1 Si 2.14
S 0.4842 0.6538 0.3966 (multiplicity 2)  1 Si 2.12

MP2020-corrected energy   -6.245 eV per atom
Final energy   -320.11 eV for the cell shown
Energy of formation   -47.98 eV per formula unit


[3]
Density functional theory data (GGA-PBE) for a relaxed CeTmO3 crystal.

a = 6.0266 Å, b = 8.3954 Å, c = 5.8096 Å
α = 90.00°, β = 90.00°, γ = 90.00°
Closest atoms and distances in Å follow each position.
Space group Pnma (No. 62)
One atom of each set of equivalent atoms:
Ce 0.0547 0.2500 0.0139 (multiplicity 4)  4 O 2.33-2.47
Tm 0.0000 0.0000 0.5000 (multiplicity 4)  6 O 2.22-2.26
O 0.0587 0.7500 0.3700 (multiplicity 4)  2 Tm 2.26, 2 Ce 2.33-2.47
O 0.1879 0.5671 0.8148 (multiplicity 8)  2 Tm 2.22-2.24, 1 Ce 2.34

MP2020-corrected energy   -8.915 eV per atom
Magnetic moment   0.20 μB per atom
Final energy   -170.06 eV for the cell shown
Energy of formation   -19.32 eV per formula unit


[4]
Density functional theory data (GGA-PBE) for a relaxed FeTe2 crystal.

a = 6.2713 Å, b = 6.2713 Å, c = 6.2713 Å
α = 90.00°, β = 90.00°, γ = 90.00°
Closest atoms and distances in Å follow each position.
Space group Pa-3 (No. 205)
One atom of each set of equivalent atoms:
Fe 0.0000 0.0000 0.0000 (multiplicity 4)  6 Te 2.59
Te 0.1319 0.6319 0.8681 (multiplicity 8)  3 Fe 2.59, 1 Te 2.87

MP2020-corrected energy   -5.336 eV per atom
Magnetic moment   0.00 μB per atom
Final energy   -60.66 eV for the cell shown
Energy of formation   -1.25 eV per formula unit


[5]
Density functional theory data (GGA-PBE) for a relaxed K23Sn9Au12 crystal.

a = 21.1065 Å, b = 21.1065 Å, c = 6.9990 Å
α = 90.00°, β = 90.00°, γ = 90.00°
Closest atoms and distances in Å follow each position.
Space group I-42m (No. 121)
One atom of each set of equivalent atoms:
K 0.0000 0.0000 0.0000 (multiplicity 2)  4 Au 3.33, 2 Sn 3.50
K 0.0000 0.5000 0.2500 (multiplicity 4)  2 K 3.50
K 0.0417 0.1721 0.7464 (multiplicity 16)  4 Au 3.27-3.64
K 0.0984 0.3409 0.9620 (multiplicity 16)  2 Au 3.31-3.56, 1 Sn 3.69
K 0.2177 0.2177 0.6427 (multiplicity 8)  2 Au 3.44, 2 Sn 3.52-3.83
Sn 0.0000 0.0000 0.5000 (multiplicity 2)  4 Au 2.77
Sn 0.0000 0.3304 0.5000 (multiplicity 8)  2 Au 2.76
Sn 0.1645 0.1645 0.1455 (multiplicity 8)  3 Au 2.73-2.79
Au 0.0826 0.0826 0.3191 (multiplicity 8)  2 Sn 2.73-2.77
Au 0.0914 0.2514 0.3500 (multiplicity 16)  2 Sn 2.76-2.79

Magnetic moment   0.01 μB per atom
Final energy   -229.84 eV for the cell shown
Energy of formation   -14.01 eV per formula unit


[6]
Density functional theory data (GGA-PBE) for a relaxed U3Al3CoRh2 crystal.

a = 6.7509 Å, b = 6.7509 Å, c = 4.1277 Å
α = 90.00°, β = 90.00°, γ = 120.00°
Closest atoms and distances in Å follow each position.
Space group P-6 (No. 174)
One atom of each set of equivalent atoms:
U 0.0181 0.5797 0.0000 (multiplicity 3)  2 Co 2.81, 3 Rh 2.90-2.95, 2 Al 3.05
Al 0.0033 0.2390 0.5000 (multiplicity 3)  3 Rh 2.61-2.65, 1 Co 2.62, 2 Al 2.78
Co 0.3333 0.6667 0.5000 (multiplicity 1)  3 Al 2.62, 6 U 2.81
Rh 0.0000 0.0000 0.0000 (multiplicity 1)  6 Al 2.61, 3 U 2.90
Rh 0.6667 0.3333 0.5000 (multiplicity 1)  3 Al 2.65, 6 U 2.95

Magnetic moment   0.58 μB per atom
Final energy   -71.24 eV for the cell shown
Energy of formation   -4.29 eV per formula unit


[7]
Density functional theory data (GGA-PBE) for a relaxed LaI2 crystal.

a = 3.9523 Å, b = 3.9523 Å, c = 14.9524 Å
α = 90.00°, β = 90.00°, γ = 90.00°
Closest atoms and distances in Å follow each position.
Space group I4/mmm (No. 139)
One atom of each set of equivalent atoms:
La 0.0000 0.0000 0.0000 (multiplicity 2)  8 I 3.37
I 0.0000 0.0000 0.3735 (multiplicity 4)  4 La 3.37

MP2020-corrected energy   -4.340 eV per atom
Final energy   -24.53 eV for the cell shown
Energy of formation   -5.04 eV per formula unit


[8]
Density functional theory data (GGA-PBE) for a relaxed GdAlSi crystal.

a = 4.1501 Å, b = 4.1501 Å, c = 14.4922 Å
α = 90.00°, β = 90.00°, γ = 90.00°
Closest atoms and distances in Å follow each position.
Space group I4_1md (No. 109)
One atom of each set of equivalent atoms:
Gd 0.0000 0.0000 0.0000 (multiplicity 4)  6 Si 3.17-3.20, 6 Al 3.17-3.19
Al 0.0000 0.0000 0.4170 (multiplicity 4)  3 Si 2.40-2.41
Si 0.0000 0.0000 0.5823 (multiplicity 4)  3 Al 2.40-2.41

MP2020-corrected energy   -8.348 eV per atom
Final energy   -100.46 eV for the cell shown
Energy of formation   -1.80 eV per formula unit


[9]
Density functional theory data (GGA-PBE) for a relaxed SmInCo2 crystal.

a = 5.0546 Å, b = 4.0396 Å, c = 7.1905 Å
α = 90.00°, β = 90.00°, γ = 90.00°
Closest atoms and distances in Å follow each position.
Space group Pmma (No. 51)
One atom of each set of equivalent atoms:
Sm 0.2500 0.0000 0.2174 (multiplicity 2)  3 Co 2.69-2.88
In 0.2500 0.5000 0.8467 (multiplicity 2)  4 Co 2.73-2.79
Co 0.0000 0.5000 0.5000 (multiplicity 2)  6 Co 2.47-2.53
Co 0.2500 0.0000 0.5910 (multiplicity 2)  4 Co 2.47, 1 Sm 2.69, 2 In 2.73

Magnetic moment   0.54 μB per atom
Final energy   -45.14 eV for the cell shown
Energy of formation   -0.88 eV per formula unit


[10]
Density functional theory data (GGA-PBE) for a relaxed BaSrNdSbO6 crystal.

a = 8.6224 Å, b = 8.6224 Å, c = 8.6224 Å
α = 90.00°, β = 90.00°, γ = 90.00°
Closest atoms and distances in Å follow each position.
Space group F-43m (No. 216)
One atom of each set of equivalent atoms:
Ba 0.0000 0.0000 0.0000 (multiplicity 4)  12 O 3.05
Sr 0.0000 0.0000 0.5000 (multiplicity 4)  12 O 3.05
Nd 0.2500 0.2500 0.7500 (multiplicity 4)  6 O 2.31
Sb 0.2500 0.2500 0.2500 (multiplicity 4)  6 O 2.01
O 0.0174 0.2500 0.2500 (multiplicity 24)  1 Sb 2.01

MP2020-corrected energy   -7.195 eV per atom
Magnetic moment   0.00 μB per atom
Polymorph energy (0 for the lowest one)   32 meV per atom
Final energy   -271.32 eV for the cell shown
Energy of formation   -29.76 eV per formula unit


[11]
Density functional theory data (GGA-PBE) for a relaxed BaLu2S4 crystal.

a = 12.2293 Å, b = 3.9918 Å, c = 14.3810 Å
α = 90.00°, β = 90.00°, γ = 90.00°
Closest atoms and distances in Å follow each position.
Space group Pnma (No. 62)
One atom of each set of equivalent atoms:
Ba 0.2414 0.2500 0.1629 (multiplicity 4)  8 S 3.19-3.35
Lu 0.0655 0.2500 0.3917 (multiplicity 4)  6 S 2.66-2.74
Lu 0.0782 0.2500 0.8991 (multiplicity 4)  6 S 2.69-2.75
S 0.0236 0.7500 0.7831 (multiplicity 4)  3 Lu 2.69-2.74
S 0.0802 0.2500 0.5763 (multiplicity 4)  3 Lu 2.66-2.72
S 0.1218 0.7500 0.0225 (multiplicity 4)  3 Lu 2.69-2.72
S 0.2071 0.7500 0.3419 (multiplicity 4)  3 Lu 2.74-2.75

MP2020-corrected energy   -6.346 eV per atom
Final energy   -169.64 eV for the cell shown
Energy of formation   -16.92 eV per formula unit


[12]
Density functional theory data (GGA-PBE) for a relaxed Rb4Sn21Hg2 crystal.

a = 12.4846 Å, b = 17.6478 Å, c = 17.6496 Å
α = 90.00°, β = 90.00°, γ = 90.00°
Closest atoms and distances in Å follow each position.
Space group Ama2 (No. 40)
One atom of each set of equivalent atoms:
Rb 0.0000 0.0000 0.0000 (multiplicity 4)  16 Sn 4.16-4.65, 2 Hg 4.41
Rb 0.2500 0.1241 0.3743 (multiplicity 4)  15 Sn 4.16-4.65, 3 Hg 4.41
Rb 0.2500 0.2503 0.7493 (multiplicity 4)  20 Sn 3.94-4.19
Rb 0.2500 0.3751 0.1233 (multiplicity 4)  17 Sn 4.16-4.65, 3 Hg 4.40-4.41
Sn 0.0580 0.3083 0.3076 (multiplicity 8)  4 Sn 2.89-2.95
Sn 0.0635 0.1902 0.1894 (multiplicity 8)  1 Hg 2.84, 3 Sn 2.91-2.95
Sn 0.0667 0.0663 0.7488 (multiplicity 8)  4 Sn 2.87-2.91
Sn 0.0667 0.2496 0.5665 (multiplicity 8)  4 Sn 2.90-2.91
Sn 0.0676 0.2500 0.9324 (multiplicity 8)  4 Sn 2.89-2.91
Sn 0.0676 0.4323 0.7492 (multiplicity 8)  4 Sn 2.91-2.93
Sn 0.1323 0.0939 0.5932 (multiplicity 8)  1 Hg 2.87, 3 Sn 2.91-2.94
Sn 0.1320 0.4061 0.9054 (multiplicity 8)  1 Hg 2.86, 3 Sn 2.91-2.95
Sn 0.2500 0.0378 0.8455 (multiplicity 4)  4 Sn 2.90-2.93
Sn 0.2500 0.1527 0.9656 (multiplicity 4)  1 Hg 2.84, 3 Sn 2.91-2.93
Sn 0.2500 0.3459 0.5368 (multiplicity 4)  4 Sn 2.90-2.95
Sn 0.2500 0.3751 0.3741 (multiplicity 4)  4 Sn 2.92
Sn 0.2500 0.4665 0.6522 (multiplicity 4)  1 Hg 2.84, 3 Sn 2.91-2.95
Hg 0.0000 0.0000 0.4993 (multiplicity 4)  4 Sn 2.86-2.87
Hg 0.2500 0.1250 0.1242 (multiplicity 4)  4 Sn 2.84

Final energy   -372.46 eV for the cell shown
Energy of formation   -4.38 eV per formula unit


[13]
Density functional theory data (GGA-PBE) for a relaxed RbUF5 crystal.

a = 8.3093 Å, b = 13.8698 Å, c = 8.4210 Å
α = 90.00°, β = 102.60°, γ = 90.00°
Closest atoms and distances in Å follow each position.
Space group P2_1/c (No. 14)
One atom of each set of equivalent atoms:
Rb 0.2204 0.0185 0.2934 (multiplicity 4)  8 F 2.82-3.15
Rb 0.2709 0.0191 0.7704 (multiplicity 4)  8 F 2.84-3.12
U 0.0539 0.7465 0.5425 (multiplicity 4)  6 F 2.16-2.39
U 0.4833 0.7453 0.4092 (multiplicity 4)  7 F 2.17-2.39
F 0.0194 0.6000 0.9957 (multiplicity 4)  1 U 2.17
F 0.0282 0.1024 0.9193 (multiplicity 4)  1 U 2.16
F 0.0311 0.1957 0.2268 (multiplicity 4)  2 U 2.33-2.35, 1 F 2.55
F 0.2133 0.6892 0.8141 (multiplicity 4)  2 U 2.39-2.51, 3 F 2.55-2.65
F 0.2293 0.2355 0.5237 (multiplicity 4)  2 U 2.31-2.35
F 0.2743 0.6504 0.4874 (multiplicity 4)  2 U 2.38-2.39, 1 F 2.65
F 0.3241 0.6819 0.1480 (multiplicity 4)  2 U 2.44-2.47, 3 F 2.56-2.68
F 0.4205 0.2092 0.8182 (multiplicity 4)  2 U 2.31-2.32, 1 F 2.57
F 0.4340 0.0981 0.1097 (multiplicity 4)  1 U 2.17
F 0.4818 0.0996 0.5606 (multiplicity 4)  1 U 2.18

MP2020-corrected energy   -6.877 eV per atom
Final energy   -366.65 eV for the cell shown
Energy of formation   -26.30 eV per formula unit